{
  "formula": "CaCeHg2",
  "functional": "PBE",
  "state": "optimized geometry",
  "lattice": [[-1.978, -4.958, 0.842], [-5.214, -0.650, 1.262], [-3.393, -2.200, -3.584]],
  "species": ["Ce", "Hg", "Hg", "Ca"],
  "frac_coords": [[0.500, 0.500, 0.500], [0.250, 0.250, 0.250], [0.750, 0.750, 0.750], [0.000, 0.000, 0.000]],
  "total_energy_ev_per_atom": -2.5818
}


{
  "formula": "Ba2PrSbO6",
  "functional": "PBE",
  "state": "optimized geometry",
  "lattice": [[8.710, 0.000, 0.000], [0.000, 8.710, 0.000], [0.000, 0.000, 8.710]],
  "species": ["O", "O", "O", "O", "O", "O", "O", "O", "O", "O", "O", "O", "O", "O", "O", "O", "O", "O", "O", "O", "O", "O", "O", "O", "Ba", "Ba", "Ba", "Ba", "Ba", "Ba", "Ba", "Ba", "Sb", "Sb", "Sb", "Sb", "Pr", "Pr", "Pr", "Pr"],
  "frac_coords": [[0.981, 0.736, 0.235], [0.736, 0.765, 0.019], [0.265, 0.519, 0.764], [0.765, 0.019, 0.736], [0.019, 0.736, 0.765], [0.481, 0.764, 0.735], [0.981, 0.264, 0.765], [0.265, 0.481, 0.236], [0.235, 0.019, 0.264], [0.764, 0.265, 0.519], [0.764, 0.735, 0.481], [0.736, 0.235, 0.981], [0.236, 0.735, 0.519], [0.735, 0.481, 0.764], [0.519, 0.764, 0.265], [0.519, 0.236, 0.735], [0.264, 0.765, 0.981], [0.735, 0.519, 0.236], [0.235, 0.981, 0.736], [0.481, 0.236, 0.265], [0.236, 0.265, 0.481], [0.264, 0.235, 0.019], [0.765, 0.981, 0.264], [0.019, 0.264, 0.235], [0.000, 0.000, 0.000], [0.000, 0.000, 0.500], [0.000, 0.500, 0.500], [0.500, 0.500, 0.000], [0.500, 0.000, 0.500], [0.500, 0.000, 0.000], [0.500, 0.500, 0.500], [0.000, 0.500, 0.000], [0.250, 0.250, 0.250], [0.750, 0.250, 0.750], [0.750, 0.750, 0.250], [0.250, 0.750, 0.750], [0.250, 0.250, 0.750], [0.250, 0.750, 0.250], [0.750, 0.250, 0.250], [0.750, 0.750, 0.750]],
  "total_energy_ev_per_atom": -6.8216
}


{
  "formula": "TeMoWSeS2",
  "functional": "PBE",
  "state": "optimized geometry",
  "lattice": [[-2.441, -1.429, 1.707], [2.003, -1.842, -1.874], [23.187, -4.601, 29.310]],
  "species": ["S", "S", "S", "S", "Te", "Te", "Mo", "Mo", "W", "W", "Se", "Se"],
  "frac_coords": [[0.000, 0.000, 0.698], [0.000, 0.000, 0.617], [0.333, 0.667, 0.053], [0.333, 0.667, 0.135], [0.333, 0.667, 0.419], [0.333, 0.667, 0.520], [0.333, 0.667, 0.282], [0.000, 0.000, 0.470], [0.333, 0.667, 0.658], [0.000, 0.000, 0.094], [0.000, 0.000, 0.237], [0.000, 0.000, 0.326]],
  "total_energy_ev_per_atom": -7.0439
}